TbErTe2: optimized geometry, PBE.

The total energy comes out at -5.128 eV/atom. As for the formation energy: -1.4669 eV/atom.

It has space group P4/mmm (No. 123), with a = 4.339 Å, b = 4.339 Å, c = 6.165 Å, α = 90.00°, β = 90.00° and γ = 90.00°. The distinct sites, in fractional coordinates, are Tb at (0.000, 0.000, 0.000), Er at (0.500, 0.500, 0.500), Te at (0.000, 0.000, 0.500) and Te at (0.500, 0.500, 0.000).


Nb2CuO6: optimized geometry, PBE.

The offset from the most stable computed form is 0.07 kcal/mol of atoms. The total energy comes out at -8.067 eV/atom. As for the formation energy: -2.5265 eV/atom.

It has space group Pbcn (No. 60), with a = 14.359 Å, b = 5.679 Å, c = 5.247 Å, α = 90.00°, β = 90.00° and γ = 90.00°. The distinct sites, in fractional coordinates, are Nb at (0.160, 0.184, 0.202), Cu at (0.000, 0.329, 0.750), O at (0.085, 0.414, 0.327), O at (0.092, 0.100, 0.885) and O at (0.240, 0.134, 0.529).